1.
Ac3Cd after structural relaxation, computed with PBE-GGA.

Geometry as extended XYZ:
```
8
Lattice="7.727 0.000 0.000 -3.864 6.692 0.000 0.000 0.000 6.019" Properties=species:S:1:pos:R:3 pbc="T T T"
Ac 0.000 2.327 1.505
Ac -1.848 5.528 1.505
Ac 2.015 1.163 4.514
Ac 1.848 5.528 1.505
Ac 5.712 1.163 4.514
Ac 3.864 4.365 4.514
Cd 0.000 4.461 4.514
Cd 3.864 2.231 1.505
```

Computed properties:
ΔH_f (0 K)   -0.025 eV per atom
Calculated volume   38.91 A^3/atom
Magnetic moment   0.363 Bohr magnetons per cell
Distance to the lowest polymorph of the same formula   0.000 eV per atom
Crystal system   hexagonal

=====

2.
BaCeEuNbO6 after structural relaxation, computed with PBE-GGA.

Geometry as extended XYZ:
```
20
Lattice="6.111 0.000 0.000 0.004 6.171 0.000 0.064 0.034 8.667" Properties=species:S:1:pos:R:3 pbc="T T T"
Ba 0.075 0.238 2.174
Ba 6.105 5.967 6.493
Ce 0.002 3.085 0.000
Ce 3.088 0.017 4.333
Eu 3.017 3.382 2.148
Eu 3.162 2.823 6.519
Nb 0.034 3.102 4.333
Nb 3.056 0.000 0.000
O 0.621 3.165 6.333
O 1.234 4.747 3.962
O 1.444 4.939 0.353
O 1.716 1.944 3.938
O 1.941 1.716 0.381
O 2.686 0.206 6.660
O 3.493 5.999 2.006
O 4.238 4.489 8.286
O 4.463 4.261 4.729
O 4.736 1.265 8.314
O 4.945 1.458 4.705
O 5.559 3.040 2.334
```

Computed properties:
ΔH_f (0 K)   -3.340 eV per atom
Calculated volume   16.34 A^3/atom
Magnetic moment   12.006 Bohr magnetons per cell
Distance to the lowest polymorph of the same formula   0.000 eV per atom
Crystal system   triclinic

=====

3.
Tb3Ir2 after structural relaxation, computed with PBE-GGA.

Geometry as extended XYZ:
```
70
Lattice="-5.666 5.666 12.656 5.666 -5.666 12.656 5.666 5.666 -12.656" Properties=species:S:1:pos:R:3 pbc="T T T"
Tb 9.017 0.850 -1.820
Tb 4.763 -3.277 7.750
Tb 4.763 3.277 -4.906
Tb 5.666 0.000 2.851
Tb 8.942 -0.903 4.906
Tb 0.850 2.315 -1.820
Tb 9.017 0.850 1.820
Tb 3.976 1.690 0.000
Tb 6.516 3.351 -1.820
Tb 2.389 -0.903 7.750
Tb 5.666 0.000 6.328
Tb 2.389 0.903 4.906
Tb 0.850 2.315 1.820
Tb 3.976 -1.690 12.656
Tb 3.351 4.816 -1.820
Tb 6.516 3.351 1.820
Tb 3.277 6.568 -4.906
Tb 5.666 0.000 9.806
Tb -0.903 2.389 4.906
Tb 4.763 3.277 4.906
Tb 3.351 4.816 1.820
Tb 2.315 0.850 10.836
Tb 0.903 2.389 7.750
Tb 6.568 3.277 7.750
Tb 0.000 5.666 2.851
Tb 2.389 -0.903 17.562
Tb -0.850 2.315 10.836
Tb 2.315 0.850 14.477
Tb 1.690 7.356 0.000
Tb 4.816 3.351 10.836
Tb 3.277 4.763 7.750
Tb 0.000 5.666 6.328
Tb 3.277 6.568 4.906
Tb -0.850 2.315 14.477
Tb 1.690 3.976 12.656
Tb -3.351 4.816 10.836
Tb 4.816 3.351 14.477
Tb -3.277 6.568 7.750
Tb 0.000 5.666 9.806
Tb 0.903 2.389 17.562
Tb 0.903 8.942 4.906
Tb -3.351 4.816 14.477
Ir 0.000 0.000 0.000
Ir 3.927 -1.738 4.772
Ir 3.637 2.029 -2.682
Ir 6.775 1.109 0.000
Ir 0.000 0.000 3.392
Ir 7.404 -1.738 7.884
Ir 3.637 -2.029 9.975
Ir 0.000 0.000 6.328
Ir 3.637 2.029 2.682
Ir 7.404 1.738 4.772
Ir 0.000 0.000 9.265
Ir 1.109 4.557 0.000
Ir 3.637 -2.029 15.338
Ir 3.927 1.738 7.884
Ir 0.000 0.000 12.656
Ir 1.738 3.927 4.772
Ir 2.029 7.695 -2.682
Ir 4.557 1.109 12.656
Ir 0.000 0.000 16.048
Ir -1.738 3.927 7.884
Ir 2.029 3.637 9.975
Ir 0.000 0.000 18.985
Ir 2.029 7.695 2.682
Ir -1.738 7.404 4.772
Ir 0.000 0.000 21.921
Ir -1.109 4.557 12.656
Ir 2.029 3.637 15.338
Ir 1.738 7.404 7.884
```

Computed properties:
ΔH_f (0 K)   -0.782 eV per atom
Calculated volume   23.22 A^3/atom
Magnetic moment   0.304 Bohr magnetons per cell
Crystal system   tetragonal

=====

4.
SrCaMgSi2O7 after structural relaxation, computed with PBE-GGA.

Geometry as extended XYZ:
```
24
Lattice="5.128 0.000 0.000 0.000 8.028 0.000 -0.172 0.000 8.013" Properties=species:S:1:pos:R:3 pbc="T T T"
Sr 0.038 0.000 0.686
Sr 4.918 4.014 7.327
Ca -0.065 5.319 3.368
Ca 5.021 1.305 4.645
Mg 2.522 2.714 2.022
Mg 2.433 6.728 5.991
Si 2.122 3.830 4.830
Si 2.110 1.585 7.067
Si 2.845 5.599 0.946
Si 2.834 7.844 3.183
O 1.229 5.601 0.942
O 1.218 7.873 3.200
O 1.357 3.377 3.446
O 1.350 0.207 6.598
O 1.385 5.223 5.296
O 1.559 2.068 0.446
O 1.539 2.687 5.925
O 3.416 6.701 2.088
O 3.397 6.082 7.567
O 3.571 1.209 2.717
O 3.606 4.221 1.415
O 3.599 7.392 4.567
O 3.738 3.859 4.813
O 3.727 1.587 7.071
```

Computed properties:
ΔH_f (0 K)   -3.389 eV per atom
Calculated volume   13.74 A^3/atom
Magnetic moment   0.000 Bohr magnetons per cell
Crystal system   monoclinic

=====

5.
La3ZrGa5O14 after structural relaxation, computed with PBE-GGA.

Geometry as extended XYZ:
```
23
Lattice="8.356 0.000 0.000 -4.178 7.236 0.000 0.000 0.000 5.217" Properties=species:S:1:pos:R:3 pbc="T T T"
La -2.396 4.150 0.000
La 1.782 3.086 0.000
La 4.792 0.000 0.000
Zr 0.000 0.000 0.000
Ga -1.026 1.778 2.609
Ga 2.053 0.000 2.609
Ga 0.000 4.824 2.766
Ga 4.178 2.412 2.451
Ga 3.151 5.458 2.609
O -2.884 6.153 1.280
O -0.692 3.318 3.648
O 0.292 1.662 1.280
O 1.293 1.083 3.937
O -0.959 6.176 3.648
O 0.000 4.824 0.944
O 3.219 1.060 1.570
O 1.651 4.978 3.648
O 4.178 2.412 4.273
O 3.486 3.919 1.570
O 2.593 6.658 1.280
O 6.771 0.578 3.937
O 5.828 2.258 1.570
O 4.469 5.574 3.937
```

Computed properties:
ΔH_f (0 K)   -3.040 eV per atom
Calculated volume   13.72 A^3/atom
Magnetic moment   0.000 Bohr magnetons per cell
Crystal system   trigonal

=====

6.
Y3Fe32Mo4 after structural relaxation, computed with PBE-GGA.

Geometry as extended XYZ:
```
39
Lattice="6.032 -2.366 0.000 6.032 2.366 0.000 -5.897 0.000 18.076" Properties=species:S:1:pos:R:3 pbc="T T T"
Y 0.000 0.000 0.000
Y 0.092 0.000 12.054
Y 6.041 0.000 5.986
Fe -1.372 0.000 4.609
Fe -1.307 0.000 7.314
Fe -3.786 0.000 15.874
Fe 3.035 1.179 5.976
Fe 0.088 1.179 15.030
Fe -2.097 0.000 14.174
Fe 2.145 0.000 2.124
Fe 1.341 0.000 4.641
Fe 1.379 0.000 7.343
Fe 6.033 1.189 2.979
Fe 3.066 1.173 12.043
Fe -1.286 0.000 16.668
Fe 4.659 0.000 1.291
Fe 2.202 0.000 9.859
Fe 6.064 1.186 9.002
Fe 3.120 1.186 18.052
Fe 3.899 0.000 8.144
Fe 2.236 0.000 14.183
Fe 1.423 0.000 16.693
Fe 7.390 0.000 1.345
Fe 3.035 -1.179 5.976
Fe 0.088 -1.179 15.030
Fe 4.720 0.000 10.660
Fe 4.749 0.000 13.350
Fe 8.188 0.000 3.823
Fe 3.066 -1.173 12.043
Fe 6.033 -1.189 2.979
Fe 9.876 0.000 2.122
Fe 7.401 0.000 10.692
Fe 7.477 0.000 13.400
Fe 6.064 -1.186 9.002
Fe 3.120 -1.186 18.052
Mo -2.118 0.000 9.887
Mo 3.820 0.000 3.761
Mo 3.910 0.000 15.830
Mo 8.210 0.000 8.132
```

Computed properties:
ΔH_f (0 K)   -0.012 eV per atom
Calculated volume   13.23 A^3/atom
Magnetic moment   61.418 Bohr magnetons per cell
Crystal system   monoclinic

=====

7.
HgIrO3 after structural relaxation, computed with PBE-GGA.

Geometry as extended XYZ:
```
5
Lattice="3.967 0.000 0.000 0.000 3.967 0.000 0.000 0.000 3.967" Properties=species:S:1:pos:R:3 pbc="T T T"
Hg 0.000 0.000 0.000
Ir 1.983 1.983 1.983
O 0.000 1.983 1.983
O 1.983 0.000 1.983
O 1.983 1.983 0.000
```

Computed properties:
ΔH_f (0 K)   -0.610 eV per atom
Calculated volume   12.49 A^3/atom
Magnetic moment   0.173 Bohr magnetons per cell
Crystal system   cubic

=====

8.
KMgNbO3 after structural relaxation, computed with PBE-GGA.

Geometry as extended XYZ:
```
6
Lattice="2.746 -2.756 0.000 2.746 2.756 0.000 -2.598 0.000 5.628" Properties=species:S:1:pos:R:3 pbc="T T T"
K 0.000 0.000 0.000
Mg 0.101 0.000 3.903
Nb 2.816 0.000 2.286
O 1.462 1.386 3.307
O 2.758 0.000 0.326
O 1.462 -1.386 3.307
```

Computed properties:
ΔH_f (0 K)   -2.266 eV per atom
Calculated volume   14.20 A^3/atom
Magnetic moment   2.000 Bohr magnetons per cell
Distance to the lowest polymorph of the same formula   0.041 eV per atom
Crystal system   monoclinic

=====

Repeat the eighth record exactly.
KMgNbO3 after structural relaxation, computed with PBE-GGA.

Geometry as extended XYZ:
```
6
Lattice="2.746 -2.756 0.000 2.746 2.756 0.000 -2.598 0.000 5.628" Properties=species:S:1:pos:R:3 pbc="T T T"
K 0.000 0.000 0.000
Mg 0.101 0.000 3.903
Nb 2.816 0.000 2.286
O 1.462 1.386 3.307
O 2.758 0.000 0.326
O 1.462 -1.386 3.307
```

Computed properties:
ΔH_f (0 K)   -2.266 eV per atom
Calculated volume   14.20 A^3/atom
Magnetic moment   2.000 Bohr magnetons per cell
Distance to the lowest polymorph of the same formula   0.041 eV per atom
Crystal system   monoclinic